# 1
# LaGa2 r²SCAN optimized geometry
data_LaGa2
_chemical_formula_sum 'La1 Ga2'
_symmetry_space_group_name_H-M 'P 6/m m m'
_symmetry_Int_Tables_number 191
_symmetry_space_group_name_Hall '-P 6 2'
_cell_length_a 4.2935
_cell_length_b 4.2935
_cell_length_c 4.4906
_cell_angle_alpha 90.00
_cell_angle_beta 90.00
_cell_angle_gamma 120.00
loop_
_atom_site_label
_atom_site_fract_x
_atom_site_fract_y
_atom_site_fract_z
_atom_site_occupancy
La1 0.0000 0.0000 0.0000 1
Ga1 0.3333 0.6667 0.5000 1
# ΔE_f: -0.826 eV/atom
# VASP energy: -55.11 eV/cell
# calculated volume: 23.90 A^3/atom
# magnetization: 0.00 μB per atom

# 2
# Tm3Al2 r²SCAN optimized geometry
data_Tm3Al2
_chemical_formula_sum 'Tm12 Al8'
_symmetry_space_group_name_H-M 'P 42/m n m'
_symmetry_Int_Tables_number 136
_symmetry_space_group_name_Hall '-P 4n 2n'
_cell_length_a 8.074
_cell_length_b 8.074
_cell_length_c 7.501
_cell_angle_alpha 90.00
_cell_angle_beta 90.00
_cell_angle_gamma 90.00
loop_
_atom_site_label
_atom_site_fract_x
_atom_site_fract_y
_atom_site_fract_z
_atom_site_occupancy
Tm1 0.000 0.500 0.250 1
Tm2 0.152 0.152 0.000 1
Tm3 0.202 0.202 0.500 1
Al1 0.119 0.881 0.302 1
# ΔE_f: -0.382 eV/atom
# VASP energy: -482.95 eV/cell
# calculated volume: 24.45 A^3/atom
# magnetization: 0.00 μB per atom

# 3
# Be2CoIr r²SCAN optimized geometry
data_Be2CoIr
_chemical_formula_sum 'Be8 Co4 Ir4'
_symmetry_space_group_name_H-M 'F m -3 m'
_symmetry_Int_Tables_number 225
_symmetry_space_group_name_Hall '-F 4 2 3'
_cell_length_a 5.394
_cell_length_b 5.394
_cell_length_c 5.394
_cell_angle_alpha 90.00
_cell_angle_beta 90.00
_cell_angle_gamma 90.00
loop_
_atom_site_label
_atom_site_fract_x
_atom_site_fract_y
_atom_site_fract_z
_atom_site_occupancy
Be1 0.250 0.250 0.250 1
Co1 0.000 0.000 0.000 1
Ir1 0.000 0.000 0.500 1
# ΔE_f: -0.427 eV/atom
# VASP energy: -303.91 eV/cell
# calculated volume: 9.81 A^3/atom
# magnetization: 0.18 μB per atom

# 4
# LiPm2Pb r²SCAN optimized geometry
data_LiPm2Pb
_chemical_formula_sum 'Li4 Pm8 Pb4'
_symmetry_space_group_name_H-M 'F m -3 m'
_symmetry_Int_Tables_number 225
_symmetry_space_group_name_Hall '-F 4 2 3'
_cell_length_a 7.641
_cell_length_b 7.641
_cell_length_c 7.641
_cell_angle_alpha 90.00
_cell_angle_beta 90.00
_cell_angle_gamma 90.00
loop_
_atom_site_label
_atom_site_fract_x
_atom_site_fract_y
_atom_site_fract_z
_atom_site_occupancy
Li1 0.000 0.000 0.000 1
Pm1 0.250 0.250 0.250 1
Pb1 0.000 0.000 0.500 1
# ΔE_f: -0.420 eV/atom
# VASP energy: -477.73 eV/cell
# calculated volume: 27.88 A^3/atom
# magnetization: 0.00 μB per atom

# 5
# Nd7Co3 r²SCAN optimized geometry
data_Nd7Co3
_chemical_formula_sum 'Nd14 Co6'
_symmetry_space_group_name_H-M 'P 63 m c'
_symmetry_Int_Tables_number 186
_symmetry_space_group_name_Hall 'P 6c -2c'
_cell_length_a 9.7299
_cell_length_b 9.7299
_cell_length_c 6.4207
_cell_angle_alpha 90.00
_cell_angle_beta 90.00
_cell_angle_gamma 120.00
loop_
_atom_site_label
_atom_site_fract_x
_atom_site_fract_y
_atom_site_fract_z
_atom_site_occupancy
Nd1 0.0760 0.5380 0.0000 1
Nd2 0.1252 0.2505 0.6979 1
Nd3 0.3333 0.6667 0.4477 1
Co1 0.1863 0.3727 0.2312 1
# ΔE_f: 0.056 eV/atom
# VASP energy: -490.14 eV/cell
# calculated volume: 26.32 A^3/atom
# magnetization: 0.00 μB per atom

# 6
# ReF7 r²SCAN optimized geometry
data_ReF7
_chemical_formula_sum 'Re2 F14'
_symmetry_space_group_name_H-M 'P -1'
_symmetry_Int_Tables_number 2
_cell_length_a 5.058
_cell_length_b 5.096
_cell_length_c 9.149
_cell_angle_alpha 91.07
_cell_angle_beta 93.16
_cell_angle_gamma 114.33
loop_
_symmetry_equiv_pos_as_xyz
'x,y,z'
'-x,-y,-z'
loop_
_atom_site_label
_atom_site_fract_x
_atom_site_fract_y
_atom_site_fract_z
_atom_site_occupancy
Re1 0.139 0.370 0.252 1
F1 0.056 0.771 0.578 1
F2 0.113 0.447 0.723 1
F3 0.174 0.919 0.847 1
F4 0.217 0.650 0.111 1
F5 0.303 0.135 0.338 1
F6 0.347 0.283 0.110 1
F7 0.429 0.660 0.364 1
# ΔE_f: -2.104 eV/atom
# VASP energy: -182.26 eV/cell
# calculated volume: 13.40 A^3/atom
# magnetization: 0.00 μB per atom